No. 1
# Sb2Se3

A relaxed structure of Sb2Se3 (PBE-GGA, Materials Project).

The value obtained for the total energy is -4.0047 eV/atom. Its space group is Pnma, No. 62. The crystal system is orthorhombic.

a = 4.0299 Å, b = 11.5414 Å, c = 12.8429 Å
α = 90.00°, β = 90.00°, γ = 90.00°
With the nearest neighbours (Å) after each atom.
Fractional coordinates of all 20 atoms:
1 Sb 0.2500 0.1682 0.5358  3 Se 2.71-2.72
2 Sb 0.7500 0.8318 0.4642  3 Se 2.71-2.72
3 Sb 0.2500 0.5364 0.3624  3 Se 2.62-2.82
4 Sb 0.7500 0.0364 0.1376  3 Se 2.62-2.82
5 Sb 0.2500 0.3318 0.0358  3 Se 2.71-2.72
6 Sb 0.7500 0.6682 0.9642  3 Se 2.71-2.72
7 Sb 0.2500 0.9636 0.8624  3 Se 2.62-2.82
8 Sb 0.7500 0.4636 0.6376  3 Se 2.62-2.82
9 Se 0.2500 0.8671 0.0473  1 Sb 2.62
10 Se 0.7500 0.3671 0.4527  1 Sb 2.62
11 Se 0.2500 0.9525 0.3725  2 Sb 2.72
12 Se 0.2500 0.5475 0.8725  2 Sb 2.72
13 Se 0.2500 0.6329 0.5473  1 Sb 2.62
14 Se 0.7500 0.1329 0.9527  1 Sb 2.62
15 Se 0.7500 0.0475 0.6275  2 Sb 2.72
16 Se 0.7500 0.8094 0.7958  3 Sb 2.71-2.82
17 Se 0.2500 0.3094 0.7042  3 Sb 2.71-2.82
18 Se 0.7500 0.4525 0.1275  2 Sb 2.72
19 Se 0.7500 0.6906 0.2958  3 Sb 2.71-2.82
20 Se 0.2500 0.1906 0.2042  3 Sb 2.71-2.82



No. 2
# Li3Pb

A relaxed structure of Li3Pb (PBE-GGA, Materials Project).

The value obtained for the total energy is -2.6815 eV/atom. Its space group is Fm-3m, No. 225. The crystal system is cubic.

a = 4.7312 Å, b = 4.7312 Å, c = 4.7312 Å
α = 60.00°, β = 60.00°, γ = 60.00°
With the nearest neighbours (Å) after each atom.
Fractional coordinates of all 4 atoms:
1 Pb 0.0000 0.0000 0.0000  8 Li 2.90
2 Li 0.5000 0.5000 0.5000  8 Li 2.90
3 Li 0.2500 0.2500 0.2500  4 Li 2.90, 4 Pb 2.90
4 Li 0.7500 0.7500 0.7500  4 Li 2.90, 4 Pb 2.90



No. 3
# CuGeN2

A relaxed structure of CuGeN2 (PBE-GGA, Materials Project).

The value obtained for the total energy is -6.0697 eV/atom. Its space group is Pna2_1, No. 33. For the total moment, the calculation gives 0.89 μB/f.u. The crystal system is orthorhombic.

a = 5.3656 Å, b = 6.4389 Å, c = 5.2733 Å
α = 90.00°, β = 90.00°, γ = 90.00°
With the nearest neighbours (Å) after each atom.
Fractional coordinates of all 16 atoms:
1 N 0.0828 0.6350 0.3890  2 Ge 1.88, 2 Cu 2.02-2.03
2 N 0.4172 0.1350 0.8890  2 Ge 1.88, 2 Cu 2.02-2.03
3 N 0.4324 0.6109 0.8564  2 Ge 1.88-1.89, 2 Cu 2.01-2.03
4 N 0.9172 0.3650 0.8890  2 Ge 1.88, 2 Cu 2.02-2.03
5 N 0.5676 0.3891 0.3564  2 Ge 1.88-1.89, 2 Cu 2.01-2.03
6 N 0.0676 0.1109 0.3564  2 Ge 1.88-1.89, 2 Cu 2.01-2.03
7 N 0.9324 0.8891 0.8564  2 Ge 1.88-1.89, 2 Cu 2.01-2.03
8 N 0.5828 0.8650 0.3890  2 Ge 1.88, 2 Cu 2.02-2.03
9 Ge 0.0840 0.1240 0.9996  4 N 1.88-1.89
10 Ge 0.4160 0.6240 0.4996  4 N 1.88-1.89
11 Ge 0.5840 0.3760 0.9996  4 N 1.88-1.89
12 Ge 0.9160 0.8760 0.4996  4 N 1.88-1.89
13 Cu 0.9126 0.3713 0.5050  4 N 2.01-2.03
14 Cu 0.0874 0.6287 0.0050  4 N 2.01-2.03
15 Cu 0.4126 0.1287 0.5050  4 N 2.01-2.03
16 Cu 0.5874 0.8713 0.0050  4 N 2.01-2.03



No. 4
# NaPm3

A relaxed structure of NaPm3 (PBE-GGA, Materials Project).

The value obtained for the total energy is -3.6315 eV/atom. Its space group is Pm-3m, No. 221. For the total moment, the calculation gives 0.02 μB/f.u. The crystal system is cubic.

a = 5.1463 Å, b = 5.1464 Å, c = 5.1464 Å
α = 90.00°, β = 90.00°, γ = 90.00°
With the nearest neighbours (Å) after each atom.
Fractional coordinates of all 4 atoms:
1 Na 0.0000 0.0000 0.0000  12 Pm 3.64
2 Pm 0.0000 0.5000 0.5000  8 Pm 3.64, 4 Na 3.64
3 Pm 0.5000 0.0000 0.5000  8 Pm 3.64, 4 Na 3.64
4 Pm 0.5000 0.5000 0.0000  8 Pm 3.64, 4 Na 3.64



No. 5
# PrAl2Ga2

A relaxed structure of PrAl2Ga2 (PBE-GGA, Materials Project).

The value obtained for the total energy is -4.1208 eV/atom. Its space group is I4/mmm, No. 139. The crystal system is tetragonal.

a = 6.3536 Å, b = 6.3536 Å, c = 6.3536 Å
α = 140.88°, β = 140.88°, γ = 56.52°
With the nearest neighbours (Å) after each atom.
Fractional coordinates of all 5 atoms:
1 Ga 0.6126 0.6126 0.0000  1 Ga 2.52, 4 Al 2.62
2 Ga 0.3874 0.3874 0.0000  1 Ga 2.52, 4 Al 2.62
3 Al 0.7500 0.2500 0.5000  4 Ga 2.62
4 Al 0.2500 0.7500 0.5000  4 Ga 2.62
5 Pr 0.0000 0.0000 0.0000  8 Ga 3.26, 8 Al 3.51



What did the fifth record say?
# PrAl2Ga2

A relaxed structure of PrAl2Ga2 (PBE-GGA, Materials Project).

The value obtained for the total energy is -4.1208 eV/atom. Its space group is I4/mmm, No. 139. The crystal system is tetragonal.

a = 6.3536 Å, b = 6.3536 Å, c = 6.3536 Å
α = 140.88°, β = 140.88°, γ = 56.52°
With the nearest neighbours (Å) after each atom.
Fractional coordinates of all 5 atoms:
1 Ga 0.6126 0.6126 0.0000  1 Ga 2.52, 4 Al 2.62
2 Ga 0.3874 0.3874 0.0000  1 Ga 2.52, 4 Al 2.62
3 Al 0.7500 0.2500 0.5000  4 Ga 2.62
4 Al 0.2500 0.7500 0.5000  4 Ga 2.62
5 Pr 0.0000 0.0000 0.0000  8 Ga 3.26, 8 Al 3.51